1.
{
  "formula": "Cs8Re12S27",
  "functional": "PBE",
  "state": "relaxed",
  "lattice": [[17.8501, 0.0000, 0.0000], [0.0000, 10.3676, 0.0000], [0.0000, 2.4964, 13.7144]],
  "species": ["Re", "S", "S", "Re", "Re", "S", "Re", "Cs", "S", "S", "S", "S", "S", "Re", "Cs", "Cs", "Cs", "Re", "S", "S", "Cs", "S", "S", "S", "Re", "Re", "S", "Re", "S", "Cs", "S", "Cs", "S", "S", "S", "Cs", "S", "Re", "Re", "S", "S", "Re", "Cs", "Re", "S", "Re", "S", "Re", "Re", "S", "S", "S", "S", "S", "S", "S", "S", "S", "Cs", "S", "S", "Re", "Cs", "Cs", "Cs", "Cs", "Cs", "S", "S", "S", "S", "S", "Re", "S", "Re", "Re", "S", "S", "Re", "S", "S", "S", "Cs", "S", "Re", "S", "Re", "S", "S", "S", "S", "Re", "S", "S"],
  "fractional_positions": [[0.2154, 0.6351, 0.1443], [0.3577, 0.6161, 0.3975], [0.2651, 0.7396, 0.8045], [0.3511, 0.6092, 0.2265], [0.7153, 0.0937, 0.3261], [0.9743, 0.3255, 0.2197], [0.1668, 0.4411, 0.2802], [0.6530, 0.9444, 0.8558], [0.5941, 0.1107, 0.2451], [0.8564, 0.7278, 0.4935], [0.2059, 0.8214, 0.4242], [0.8191, 0.7568, 0.9280], [0.1904, 0.4595, 0.4483], [0.3335, 0.9442, 0.7799], [0.8444, 0.4472, 0.3598], [0.9732, 0.9763, 0.9518], [0.1266, 0.5054, 0.8514], [0.8335, 0.0558, 0.2201], [0.9762, 0.2849, 0.8113], [0.8280, 0.4056, 0.9429], [0.4735, 0.4126, 0.9548], [0.6443, 0.2264, 0.9932], [0.5236, 0.7844, 0.3116], [0.6904, 0.5405, 0.5517], [0.7325, 0.3539, 0.6689], [0.6994, 0.0842, 0.1382], [0.0478, 0.3232, 0.3357], [0.7848, 0.5941, 0.8262], [0.0941, 0.8893, 0.7549], [0.0262, 0.5283, 0.5455], [0.1443, 0.7736, 0.0068], [0.9735, 0.5874, 0.0452], [0.9605, 0.1447, 0.1776], [0.7059, 0.1786, 0.5758], [0.8094, 0.0380, 0.0517], [0.5277, 0.0557, 0.5684], [0.6102, 0.3418, 0.7484], [0.6485, 0.8906, 0.2735], [0.2325, 0.6461, 0.3311], [0.2179, 0.3132, 0.7000], [0.7934, 0.6783, 0.0753], [0.2668, 0.1475, 0.8312], [0.3444, 0.5528, 0.6402], [0.7843, 0.8641, 0.3561], [0.2364, 0.2381, 0.3045], [0.7154, 0.3649, 0.8557], [0.3094, 0.9620, 0.9483], [0.8511, 0.3908, 0.7735], [0.2843, 0.1359, 0.6439], [0.2934, 0.3217, 0.9247], [0.1589, 0.4347, 0.1082], [0.4061, 0.3896, 0.2547], [0.1102, 0.6582, 0.2516], [0.3191, 0.2432, 0.0720], [0.8889, 0.8387, 0.2480], [0.8407, 0.0650, 0.3923], [0.7364, 0.7619, 0.6955], [0.3407, 0.9350, 0.6077], [0.8743, 0.9943, 0.6480], [0.6785, 0.2545, 0.4286], [0.9061, 0.6104, 0.7453], [0.2153, 0.9063, 0.6739], [0.1530, 0.0556, 0.1442], [0.6266, 0.4946, 0.1486], [0.5262, 0.4717, 0.4545], [0.4732, 0.0237, 0.0482], [0.0277, 0.9443, 0.4316], [0.3280, 0.5944, 0.0571], [0.7651, 0.2604, 0.1955], [0.0236, 0.2156, 0.6884], [0.7179, 0.6868, 0.3000], [0.6419, 0.8838, 0.1022], [0.1485, 0.1094, 0.7265], [0.6719, 0.9055, 0.4428], [0.2848, 0.4059, 0.1738], [0.1994, 0.9158, 0.8618], [0.2811, 0.8128, 0.2005], [0.3889, 0.1613, 0.7520], [0.6668, 0.5589, 0.7198], [0.1785, 0.7455, 0.5714], [0.4605, 0.8553, 0.8224], [0.3564, 0.2722, 0.5065], [0.3743, 0.0057, 0.3520], [0.7811, 0.1872, 0.7995], [0.3007, 0.4150, 0.3618], [0.4743, 0.6745, 0.7803], [0.8007, 0.5850, 0.6382], [0.6589, 0.5653, 0.8918], [0.5478, 0.6768, 0.6643], [0.1419, 0.1162, 0.8978], [0.4762, 0.7151, 0.1887], [0.7668, 0.8525, 0.1688], [0.1719, 0.0945, 0.5572], [0.8577, 0.3839, 0.6025]],
  "space_group": "P2_1, No. 4",
  "formation_enthalpy_0k_kj_per_mol_atoms": -101
}

2.
{
  "formula": "Cs2Re2S5",
  "functional": "PBE",
  "state": "relaxed",
  "lattice": [[10.3347, -7.1147, 0.0000], [10.3347, 7.1147, 0.0000], [5.4367, 0.0000, 11.3079]],
  "species": ["Re", "S", "S", "S", "S", "S", "S", "Re", "S", "Re", "Re", "S", "S", "S", "S", "Cs", "S", "S", "Cs", "Re", "S", "S", "Re", "S", "Cs", "S", "Cs", "S", "Cs", "S", "S", "S", "Re", "S", "Cs", "S", "S", "Cs", "Cs", "S", "Cs", "S", "S", "Re", "Cs", "S", "S", "S", "Re", "Cs", "Re", "Re", "Cs", "Re"],
  "fractional_positions": [[0.8651, 0.9434, 0.0778], [0.6854, 0.8701, 0.1569], [0.7472, 0.5002, 0.3562], [0.2500, 0.2500, 0.2500], [0.1854, 0.6569, 0.3701], [0.6569, 0.3701, 0.1854], [0.8701, 0.1569, 0.6854], [0.5778, 0.4434, 0.3651], [0.1299, 0.8431, 0.3146], [0.0566, 0.9222, 0.1349], [0.6349, 0.4222, 0.5566], [0.3956, 0.3956, 0.3956], [0.0002, 0.2472, 0.8562], [0.3146, 0.1299, 0.8431], [0.1569, 0.6854, 0.8701], [0.3188, 0.5292, 0.1282], [0.7528, 0.1438, 0.9998], [0.7500, 0.7500, 0.7500], [0.8718, 0.6812, 0.4708], [0.5566, 0.6349, 0.4222], [0.6044, 0.6044, 0.6044], [0.4998, 0.6438, 0.2528], [0.4222, 0.5566, 0.6349], [0.8146, 0.3431, 0.6299], [0.1812, 0.3718, 0.9708], [0.6299, 0.8146, 0.3431], [0.5292, 0.1282, 0.3188], [0.2528, 0.4998, 0.6438], [0.1282, 0.3188, 0.5292], [0.6438, 0.2528, 0.4998], [0.8431, 0.3146, 0.1299], [0.3562, 0.7472, 0.5002], [0.1349, 0.0566, 0.9222], [0.8956, 0.8956, 0.8956], [0.8188, 0.6282, 0.0292], [0.2472, 0.8562, 0.0002], [0.8562, 0.0002, 0.2472], [0.6282, 0.0292, 0.8188], [0.0292, 0.8188, 0.6282], [0.3431, 0.6299, 0.8146], [0.3718, 0.9708, 0.1812], [0.1438, 0.9998, 0.7528], [0.3701, 0.1854, 0.6569], [0.4434, 0.3651, 0.5778], [0.9708, 0.1812, 0.3718], [0.9998, 0.7528, 0.1438], [0.1044, 0.1044, 0.1044], [0.5002, 0.3562, 0.7472], [0.9434, 0.0778, 0.8651], [0.4708, 0.8718, 0.6812], [0.9222, 0.1349, 0.0566], [0.3651, 0.5778, 0.4434], [0.6812, 0.4708, 0.8718], [0.0778, 0.8651, 0.9434]],
  "space_group": "R-3c, No. 167",
  "formation_enthalpy_0k_kj_per_mol_atoms": -103
}

3.
{
  "formula": "CsReS2",
  "functional": "PBE",
  "state": "relaxed",
  "lattice": [[11.5148, 0.0000, 0.0000], [0.0000, 11.8512, 0.0000], [0.0000, 0.0000, 21.2095]],
  "species": ["S", "Cs", "S", "Re", "S", "S", "Re", "Cs", "Re", "Cs", "Re", "Re", "Re", "S", "Re", "Cs", "Re", "Cs", "Re", "S", "S", "Cs", "S", "S", "S", "S", "Cs", "S", "S", "S", "S", "Cs", "S", "S", "Cs", "S", "S", "Re", "S", "Re", "S", "Cs", "Re", "Cs", "Cs", "Cs", "Cs", "S", "S", "Re", "Cs", "Re", "S", "S", "Re", "S", "S", "S", "S", "Cs", "S", "S", "S", "S", "Re", "S", "Cs", "S", "S", "S", "S", "Cs", "Re", "S", "S", "S", "Cs", "Cs", "Re", "Re", "Cs", "Cs", "S", "Re", "S", "S", "Re", "Re", "S", "S", "Cs", "Re", "Cs", "S", "S", "Re"],
  "fractional_positions": [[0.7037, 0.2993, 0.6696], [0.9956, 0.3572, 0.6587], [0.6642, 0.3181, 0.2500], [0.4166, 0.4860, 0.7500], [0.9491, 0.0493, 0.6700], [0.4491, 0.4507, 0.1700], [0.4989, 0.3486, 0.8397], [0.6943, 0.3658, 0.4211], [0.6415, 0.7302, 0.2500], [0.6943, 0.3658, 0.0789], [0.1415, 0.7698, 0.7500], [0.5011, 0.6514, 0.1603], [0.8616, 0.9304, 0.7500], [0.5542, 0.8488, 0.3305], [0.4989, 0.3486, 0.6603], [0.8057, 0.8658, 0.4211], [0.6384, 0.4304, 0.7500], [0.9956, 0.3572, 0.8413], [0.0834, 0.9860, 0.7500], [0.2940, 0.4013, 0.6692], [0.4997, 0.3393, 0.5466], [0.7676, 0.5829, 0.9292], [0.3358, 0.6819, 0.7500], [0.5509, 0.5493, 0.6700], [0.2963, 0.7007, 0.1696], [0.7940, 0.0987, 0.1692], [0.7324, 0.0829, 0.9292], [0.2037, 0.2007, 0.1696], [0.4458, 0.1512, 0.8305], [0.7940, 0.0987, 0.3308], [0.8316, 0.5224, 0.7500], [0.1943, 0.1342, 0.5789], [0.5003, 0.6607, 0.0466], [0.2963, 0.7007, 0.3304], [0.2324, 0.4171, 0.4292], [0.0003, 0.8393, 0.5466], [0.2037, 0.2007, 0.3304], [0.5811, 0.2135, 0.7500], [0.5542, 0.8488, 0.1695], [0.5834, 0.5140, 0.2500], [0.2060, 0.9013, 0.8308], [0.2676, 0.9171, 0.0708], [0.3585, 0.2698, 0.7500], [0.4956, 0.1428, 0.3413], [0.7324, 0.0829, 0.5708], [0.0044, 0.6428, 0.3413], [0.2676, 0.9171, 0.4292], [0.9491, 0.0493, 0.8300], [0.0003, 0.8393, 0.9534], [0.9989, 0.1514, 0.1603], [0.3057, 0.6342, 0.5789], [0.4189, 0.7865, 0.2500], [0.5509, 0.5493, 0.8300], [0.5003, 0.6607, 0.4534], [0.9189, 0.7135, 0.7500], [0.9997, 0.1607, 0.0466], [0.9458, 0.3488, 0.3305], [0.1642, 0.1819, 0.7500], [0.0509, 0.9507, 0.1700], [0.7676, 0.5829, 0.5708], [0.7060, 0.5987, 0.1692], [0.9458, 0.3488, 0.1695], [0.0542, 0.6512, 0.8305], [0.7060, 0.5987, 0.3308], [0.0811, 0.2865, 0.2500], [0.2940, 0.4013, 0.8308], [0.5044, 0.8572, 0.8413], [0.8358, 0.8181, 0.2500], [0.7963, 0.7993, 0.8304], [0.6684, 0.0224, 0.7500], [0.2060, 0.9013, 0.6692], [0.0044, 0.6428, 0.1587], [0.9989, 0.1514, 0.3397], [0.7963, 0.7993, 0.6696], [0.7037, 0.2993, 0.8304], [0.4458, 0.1512, 0.6695], [0.1943, 0.1342, 0.9211], [0.8057, 0.8658, 0.0789], [0.3616, 0.5696, 0.2500], [0.0011, 0.8486, 0.6603], [0.5044, 0.8572, 0.6587], [0.4956, 0.1428, 0.1587], [0.1684, 0.4776, 0.2500], [0.1384, 0.0696, 0.2500], [0.3316, 0.9776, 0.2500], [0.9997, 0.1607, 0.4534], [0.9166, 0.0140, 0.2500], [0.8585, 0.2302, 0.2500], [0.4491, 0.4507, 0.3300], [0.0542, 0.6512, 0.6695], [0.3057, 0.6342, 0.9211], [0.5011, 0.6514, 0.3397], [0.2324, 0.4171, 0.0708], [0.0509, 0.9507, 0.3300], [0.4997, 0.3393, 0.9534], [0.0011, 0.8486, 0.8397]],
  "space_group": "Pnma, No. 62",
  "formation_enthalpy_0k_kj_per_mol_atoms": -101
}

4.
{
  "formula": "Cs4Re6S13",
  "functional": "PBE",
  "state": "relaxed",
  "lattice": [[8.6712, 5.0635, 0.0000], [-8.6712, 5.0635, 0.0000], [0.0000, 2.5961, 13.6737]],
  "species": ["Cs", "Re", "Re", "S", "Cs", "Re", "Cs", "S", "Cs", "S", "Cs", "S", "S", "Cs", "S", "S", "S", "S", "Re", "S", "Re", "S", "Re", "Re", "S", "S", "S", "Re", "S", "Re", "Cs", "S", "Re", "Re", "S", "Re", "S", "S", "S", "S", "S", "S", "S", "S", "Cs", "S"],
  "fractional_positions": [[0.0954, 0.3437, 0.5867], [0.8455, 0.4351, 0.1093], [0.8484, 0.4150, 0.9213], [0.5356, 0.7212, 0.5051], [0.3437, 0.0954, 0.0867], [0.9963, 0.3105, 0.0229], [0.6563, 0.9046, 0.9133], [0.4644, 0.2788, 0.4949], [0.7257, 0.6837, 0.7154], [0.6423, 0.2753, 0.8257], [0.6837, 0.7257, 0.2154], [0.9953, 0.3075, 0.8493], [0.2753, 0.6423, 0.3257], [0.9046, 0.6563, 0.4133], [0.2824, 0.8097, 0.9489], [0.3075, 0.9953, 0.3493], [0.3577, 0.7247, 0.1743], [0.9798, 0.0479, 0.0623], [0.5850, 0.1516, 0.5787], [0.2788, 0.4644, 0.9949], [0.6895, 0.0037, 0.4771], [0.0479, 0.9798, 0.5623], [0.5649, 0.1545, 0.3907], [0.1516, 0.5850, 0.0787], [0.1903, 0.7176, 0.5511], [0.6393, 0.3607, 0.2500], [0.7176, 0.1903, 0.0511], [0.4351, 0.8455, 0.6093], [0.3455, 0.9917, 0.6931], [0.0037, 0.6895, 0.9771], [0.3163, 0.2743, 0.7846], [0.7247, 0.3577, 0.6743], [0.1545, 0.5649, 0.8907], [0.3105, 0.9963, 0.5229], [0.8097, 0.2824, 0.4489], [0.4150, 0.8484, 0.4213], [0.3607, 0.6393, 0.7500], [0.0047, 0.6925, 0.1507], [0.9917, 0.3455, 0.1931], [0.9521, 0.0202, 0.4377], [0.6925, 0.0047, 0.6507], [0.7212, 0.5356, 0.0051], [0.0083, 0.6545, 0.8069], [0.0202, 0.9521, 0.9377], [0.2743, 0.3163, 0.2846], [0.6545, 0.0083, 0.3069]],
  "space_group": "C2/c, No. 15",
  "formation_enthalpy_0k_kj_per_mol_atoms": -102
}

5.
{
  "formula": "CsS3",
  "functional": "PBE",
  "state": "relaxed",
  "lattice": [[-1.9856, -0.5096, -4.3838], [-4.9556, -7.5189, 3.0274], [-9.6844, 6.2917, 2.5379]],
  "species": ["S", "S", "S", "S", "S", "Cs", "S", "S", "S", "S", "Cs", "Cs", "S", "S", "S", "Cs"],
  "fractional_positions": [[0.4705, 0.3450, 0.1458], [0.7921, 0.9835, 0.7884], [0.4836, 0.1388, 0.1041], [0.5716, 0.3857, 0.6703], [0.6346, 0.0355, 0.6302], [0.1061, 0.6895, 0.6141], [0.2079, 0.0165, 0.2116], [0.5164, 0.8612, 0.8959], [0.4284, 0.6143, 0.3297], [0.3665, 0.2081, 0.6380], [0.9508, 0.6762, 0.0962], [0.8939, 0.3105, 0.3859], [0.6335, 0.7919, 0.3620], [0.5295, 0.6550, 0.8542], [0.3654, 0.9645, 0.3698], [0.0492, 0.3238, 0.9038]],
  "space_group": "P-1, No. 2",
  "formation_enthalpy_0k_kj_per_mol_atoms": -89
}

6.
{
  "formula": "Cs2S3",
  "functional": "PBE",
  "state": "relaxed",
  "lattice": [[-4.6724, -1.0883, -4.8082], [3.8648, -5.5534, 0.5974], [-5.2942, -3.0565, 5.8365]],
  "species": ["S", "Cs", "Cs", "S", "Cs", "Cs", "S", "S", "S", "S"],
  "fractional_positions": [[0.6204, 0.9504, 0.8558], [0.4288, 0.5712, 0.1885], [0.8970, 0.1030, 0.4694], [0.9504, 0.6204, 0.3558], [0.5712, 0.4288, 0.6885], [0.1030, 0.8970, 0.9694], [0.3796, 0.0496, 0.3558], [0.7925, 0.2075, 0.9900], [0.2075, 0.7925, 0.4900], [0.0496, 0.3796, 0.8558]],
  "space_group": "Cmc2_1, No. 36",
  "piezo_max_c_m2": 0.243,
  "formation_enthalpy_0k_kj_per_mol_atoms": -107
}

7.
{
  "formula": "CsS",
  "functional": "PBE",
  "state": "relaxed",
  "lattice": [[5.1876, 2.4774, 2.8586], [-2.9078, 5.7102, 0.3987], [-1.4466, -5.6901, 2.5982]],
  "species": ["S", "Cs", "S", "Cs"],
  "fractional_positions": [[0.1444, 0.0000, 0.1444], [0.2272, 0.7272, 0.5000], [0.8556, 0.0000, 0.8556], [0.7728, 0.2728, 0.5000]],
  "space_group": "Immm, No. 71",
  "formation_enthalpy_0k_kj_per_mol_atoms": -114
}

8.
{
  "formula": "CsS",
  "functional": "PBE",
  "state": "relaxed",
  "lattice": [[4.2305, 0.0000, 0.0000], [0.0000, 4.2305, 0.0000], [0.0000, 0.0000, 4.2305]],
  "species": ["S", "Cs"],
  "fractional_positions": [[0.5000, 0.5000, 0.5000], [0.0000, 0.0000, 0.0000]],
  "space_group": "Pm-3m, No. 221",
  "formation_enthalpy_0k_kj_per_mol_atoms": -63
}

9.
{
  "formula": "Cs2S",
  "functional": "PBE",
  "state": "relaxed",
  "lattice": [[-1.6133, -3.7465, -3.5964], [7.7955, -4.0740, 0.7471], [-3.8312, -5.8903, 7.8549]],
  "species": ["Cs", "Cs", "Cs", "S", "Cs", "Cs", "Cs", "Cs", "Cs", "S", "S", "S"],
  "fractional_positions": [[0.2500, 0.6457, 0.0745], [0.2500, 0.1457, 0.4255], [0.7500, 0.8543, 0.5745], [0.2500, 0.2464, 0.1092], [0.7500, 0.9772, 0.1692], [0.7500, 0.3543, 0.9255], [0.2500, 0.0228, 0.8308], [0.2500, 0.5228, 0.6692], [0.7500, 0.4772, 0.3308], [0.7500, 0.7536, 0.8908], [0.7500, 0.2536, 0.6092], [0.2500, 0.7464, 0.3908]],
  "space_group": "Pnma, No. 62",
  "formation_enthalpy_0k_kj_per_mol_atoms": -109
}

10.
{
  "formula": "Cs2S",
  "functional": "PBE",
  "state": "relaxed",
  "lattice": [[-2.9237, -5.0636, 0.0000], [-5.8473, 0.0000, 0.0000], [0.0000, 0.0000, -8.2235]],
  "species": ["Cs", "Cs", "S", "S", "Cs", "Cs"],
  "fractional_positions": [[0.3333, 0.3333, 0.2500], [0.0000, 0.0000, 0.0000], [0.6666, 0.6667, 0.2500], [0.3334, 0.3333, 0.7500], [0.6667, 0.6667, 0.7500], [0.0000, 0.0000, 0.5000]],
  "space_group": "P6_3/mmc, No. 194",
  "formation_enthalpy_0k_kj_per_mol_atoms": -102
}

11.
{
  "formula": "Cs2S5",
  "functional": "PBE",
  "state": "relaxed",
  "lattice": [[-6.9170, 0.5990, 1.4209], [-1.5406, -4.6475, -5.5404], [1.2031, -14.8370, 12.1115]],
  "species": ["S", "S", "S", "S", "S", "S", "Cs", "Cs", "Cs", "S", "Cs", "Cs", "Cs", "S", "S", "Cs", "S", "S", "S", "S", "S", "S", "S", "S", "S", "S", "Cs", "S"],
  "fractional_positions": [[0.9193, 0.5743, 0.4693], [0.7416, 0.3053, 0.6488], [0.2584, 0.8053, 0.8512], [0.4782, 0.7653, 0.1539], [0.9321, 0.9007, 0.1873], [0.5679, 0.0993, 0.6873], [0.6147, 0.9222, 0.9846], [0.5739, 0.7544, 0.3340], [0.9261, 0.2456, 0.8340], [0.4193, 0.9257, 0.5307], [0.8853, 0.0778, 0.4846], [0.3853, 0.4222, 0.5154], [0.4261, 0.2544, 0.1660], [0.5218, 0.2653, 0.3461], [0.4275, 0.3781, 0.8803], [0.1147, 0.5778, 0.0154], [0.7584, 0.6947, 0.1488], [0.4321, 0.5993, 0.8127], [0.2416, 0.1947, 0.3512], [0.0218, 0.2347, 0.6539], [0.5725, 0.8781, 0.6197], [0.0725, 0.6219, 0.3803], [0.5807, 0.4257, 0.9693], [0.9275, 0.1219, 0.1197], [0.0679, 0.4007, 0.3127], [0.9782, 0.7347, 0.8461], [0.0739, 0.7456, 0.6660], [0.0807, 0.0743, 0.0307]],
  "space_group": "P2_12_12_1, No. 19",
  "formation_enthalpy_0k_kj_per_mol_atoms": -94
}